Entry from the Materials Project database: a geometry-optimized KCaEuSeO6 structure (GGA-PBE).

abc: 5.716 5.716 5.716
angles: 60.00 60.00 60.00
Positions (direct):
K: 0.000 0.000 0.000
Ca: 0.750 0.750 0.750
Eu: 0.500 0.500 0.500
Se: 0.250 0.250 0.250
O: 0.027 0.027 0.473
O: 0.027 0.473 0.027
O: 0.027 0.473 0.473
O: 0.473 0.027 0.027
O: 0.473 0.027 0.473
O: 0.473 0.473 0.027

The calculated total energy comes out at -6.446 eV/atom. The space-group type is No. 216. The value obtained for the formation energy is -2.202 eV/atom. The corrected total energy (MP2020 scheme) is -68.58 eV for the cell shown. The value obtained for the magnetization is 6.0 μB per formula unit.